Record 1
MgTe (GGA-PBE, relaxed); calculated density = 4.7 g/cm3; energy of formation = -2.08 eV/f.u.; energy = -12.80 eV for the cell shown
1.0
-3.660 -1.679 -1.342
3.614 -0.880 -2.044
0.990 -5.426 4.086
Te Mg
2 2
Direct
0.333 0.667 0.250
0.667 0.333 0.750
0.000 0.000 0.000
0.000 0.000 0.500

---

Record 2
KB5O8 (GGA-PBE, relaxed); calculated density = 1.8 g/cm3; energy of formation = -39.82 eV/f.u.; energy = -867.28 eV for the cell shown; polymorph energy (0 for the lowest one) = 0.0 meV/atom
1.0
8.605 0.000 0.000
0.000 8.639 0.000
0.000 0.000 21.721
O B K
64 40 8
Direct
0.370 0.175 0.534
0.560 0.156 0.215
0.162 0.336 0.104
0.970 0.904 0.254
0.405 0.236 0.426
0.383 0.761 0.502
0.130 0.825 0.034
0.509 0.190 0.324
0.991 0.810 0.824
0.530 0.096 0.754
0.991 0.690 0.324
0.940 0.656 0.215
0.491 0.810 0.676
0.595 0.736 0.074
0.095 0.764 0.926
0.405 0.264 0.926
0.440 0.656 0.285
0.970 0.596 0.754
0.117 0.239 0.002
0.072 0.551 0.855
0.883 0.739 0.498
0.491 0.690 0.176
0.870 0.325 0.466
0.662 0.164 0.896
0.470 0.904 0.246
0.009 0.310 0.676
0.940 0.844 0.715
0.338 0.836 0.104
0.383 0.739 0.002
0.009 0.190 0.176
0.662 0.336 0.396
0.630 0.825 0.466
0.338 0.664 0.604
0.630 0.675 0.966
0.072 0.949 0.355
0.905 0.236 0.074
0.470 0.596 0.746
0.838 0.836 0.396
0.595 0.764 0.574
0.370 0.325 0.034
0.130 0.675 0.534
0.030 0.404 0.246
0.095 0.736 0.426
0.905 0.264 0.574
0.883 0.761 0.998
0.509 0.310 0.824
0.617 0.261 0.998
0.060 0.156 0.285
0.428 0.051 0.855
0.117 0.261 0.502
0.870 0.175 0.966
0.838 0.664 0.896
0.530 0.404 0.254
0.060 0.344 0.785
0.928 0.449 0.145
0.030 0.096 0.746
0.428 0.449 0.355
0.572 0.949 0.145
0.572 0.551 0.645
0.440 0.844 0.785
0.617 0.239 0.498
0.162 0.164 0.604
0.560 0.344 0.715
0.928 0.051 0.645
0.540 0.781 0.516
0.214 0.301 0.047
0.960 0.219 0.016
0.286 0.801 0.047
0.040 0.781 0.984
0.714 0.199 0.953
0.967 0.745 0.267
0.533 0.255 0.767
0.533 0.245 0.267
0.460 0.281 0.984
0.002 0.303 0.124
0.540 0.719 0.016
0.502 0.197 0.876
0.998 0.697 0.876
0.786 0.801 0.453
0.033 0.003 0.298
0.714 0.301 0.453
0.467 0.503 0.298
0.460 0.219 0.484
0.033 0.497 0.798
0.502 0.303 0.376
0.498 0.697 0.624
0.533 0.497 0.702
0.467 0.745 0.233
0.786 0.699 0.953
0.533 0.003 0.202
0.467 0.755 0.733
0.286 0.699 0.547
0.967 0.755 0.767
0.040 0.719 0.484
0.033 0.255 0.733
0.467 0.997 0.798
0.498 0.803 0.124
0.960 0.281 0.516
0.214 0.199 0.547
0.967 0.503 0.202
0.002 0.197 0.624
0.033 0.245 0.233
0.998 0.803 0.376
0.967 0.997 0.702
0.604 0.101 0.624
0.396 0.899 0.376
0.104 0.101 0.876
0.896 0.899 0.124
0.604 0.399 0.124
0.104 0.399 0.376
0.396 0.601 0.876
0.896 0.601 0.624